(1)
The following is a DFT calculation (GGA-PBE) of a relaxed Ba4Sn9Bi3 crystal.

a b c (Å): 7.3512 7.3512 22.8646
angles (deg): 90.00 90.00 120.00
Space group P6_3/mmc (No. 194)
Symmetry-distinct sites (fractional):
Ba 0.0000 0.0000 0.0000 (multiplicity 2)
Ba 0.0000 0.0000 0.2500 (multiplicity 2)
Ba 0.3333 0.6667 0.1342 (multiplicity 4)
Sn 0.0569 0.5284 0.7500 (multiplicity 6)
Sn 0.1927 0.3855 0.6249 (multiplicity 12)
Bi 0.0000 0.5000 0.0000 (multiplicity 6)

Calculated values
ΔE_f, eV per formula unit: -7.49

(2)
The following is a DFT calculation (GGA-PBE) of a relaxed BaSrBi3 crystal.

a b c (Å): 15.504 7.110 6.922
angles (deg): 90.00 90.00 90.00
Space group Pnna (No. 52)
Symmetry-distinct sites (fractional):
Ba 0.250 0.000 0.046 (multiplicity 4)
Sr 0.000 0.250 0.250 (multiplicity 4)
Bi 0.058 0.750 0.250 (multiplicity 4)
Bi 0.149 0.052 0.566 (multiplicity 8)

Calculated values
ΔE_f, eV per formula unit: -3.70

(3)
The following is a DFT calculation (GGA-PBE) of a relaxed BaBr2 crystal.

a b c (Å): 8.409 5.070 10.094
angles (deg): 90.00 90.00 90.00
Space group Pnma (No. 62)
Symmetry-distinct sites (fractional):
Ba 0.246 0.250 0.113 (multiplicity 4)
Br 0.023 0.250 0.835 (multiplicity 4)
Br 0.142 0.250 0.426 (multiplicity 4)

Calculated values
ΔE_f, eV per formula unit: -7.74

(4)
The following is a DFT calculation (GGA-PBE) of a relaxed BaNiC4Br crystal.

a b c (Å): 4.999 4.999 5.024
angles (deg): 90.00 90.00 90.00
Space group P4/mmm (No. 123)
Symmetry-distinct sites (fractional):
Ba 0.000 0.000 0.000 (multiplicity 1)
Ni 0.500 0.500 0.500 (multiplicity 1)
C 0.125 0.500 0.500 (multiplicity 4)
Br 0.500 0.500 0.000 (multiplicity 1)

Calculated values
ΔE_f, eV per formula unit: 0.97
Total magnetic moment, μB per cell: 0.00

(5)
The following is a DFT calculation (GGA-PBE) of a relaxed Ba10BrN5Cl4 crystal.

a b c (Å): 4.1619 4.1619 115.9989
angles (deg): 90.00 90.00 120.00
Space group R-3m (No. 166, hexagonal axes)
Symmetry-distinct sites (fractional):
Ba 0.0000 0.0000 0.0468 (multiplicity 6)
Ba 0.0000 0.0000 0.1537 (multiplicity 6)
Ba 0.0000 0.0000 0.2462 (multiplicity 6)
Ba 0.0000 0.0000 0.3546 (multiplicity 6)
Ba 0.0000 0.0000 0.4463 (multiplicity 6)
Br 0.0000 0.0000 0.0000 (multiplicity 3)
N 0.0000 0.0000 0.1000 (multiplicity 6)
N 0.0000 0.0000 0.2995 (multiplicity 6)
N 0.0000 0.0000 0.5000 (multiplicity 3)
Cl 0.0000 0.0000 0.2000 (multiplicity 6)
Cl 0.0000 0.0000 0.4002 (multiplicity 6)

Calculated values
ΔE_f, eV per formula unit: -27.98
Total magnetic moment, μB per cell: 0.00

(6)
The following is a DFT calculation (GGA-PBE) of a relaxed Ba6Br2N3Cl crystal.

a b c (Å): 19.865 4.186 9.246
angles (deg): 90.00 111.02 90.00
Space group C2/m (No. 12)
Symmetry-distinct sites (fractional):
Ba 0.014 0.000 0.218 (multiplicity 4)
Ba 0.153 0.500 0.118 (multiplicity 4)
Ba 0.180 0.500 0.548 (multiplicity 4)
Br 0.167 0.000 0.833 (multiplicity 4)
N 0.000 0.500 0.000 (multiplicity 2)
N 0.167 0.000 0.333 (multiplicity 4)
Cl 0.000 0.500 0.500 (multiplicity 2)

Calculated values
ΔE_f, eV per formula unit: -15.25
Total magnetic moment, μB per cell: 0.00
Distance to the lowest polymorph of the same formula, eV per formula unit: 0.049

- Among the records above, which one has the lowest ΔE_f?
  Ba10BrN5Cl4

- Number 6 is which compound?
  Ba6Br2N3Cl

- Which of these has the highest ΔE_f?
  BaNiC4Br

- Among the records above, which one has the lowest ΔE_f?
  Ba10BrN5Cl4